1.
Compound: LaCoGe2
Source: the Materials Project
Functional: PBE
Structure: relaxed

Cell lengths 4.351, 16.565, 4.316 Å; angles 90.00, 90.00, 90.00 degrees
Space group Cmcm (No. 63)
Symmetry-distinct sites (fractional):
La  0.000  0.108  0.250 (multiplicity 4)
Co  0.000  0.314  0.250 (multiplicity 4)
Ge  0.000  0.251  0.750 (multiplicity 4)
Ge  0.000  0.454  0.250 (multiplicity 4)

=====

2.
Compound: LaCoGe
Source: the Materials Project
Functional: PBE
Structure: relaxed

Cell lengths 4.189, 4.189, 7.059 Å; angles 90.00, 90.00, 90.00 degrees
Space group P4/nmm (No. 129, origin choice 2)
Symmetry-distinct sites (fractional):
La  0.250  0.250  0.189 (multiplicity 2)
Co  0.250  0.750  0.500 (multiplicity 2)
Ge  0.250  0.250  0.676 (multiplicity 2)

=====

no.,energy of formation from the pure elements (eV/atom)
1,-0.6774
2,-0.6178